(1)
{
  "formula": "Tl2CuAsO4",
  "functional": "PBE-GGA",
  "state": "optimized geometry",
  "polymorph_energy_ev_per_atom": 0.012,
  "m_tot_mub_per_fu": 0.000,
  "space_group": "P2_1",
  "lattice_angstrom": [[-1.617, 4.134, -3.228], [-4.649, -3.462, -2.105], [-6.291, 2.200, 5.968]],
  "species": ["Cu", "Cu", "O", "O", "O", "O", "O", "O", "O", "O", "Tl", "Tl", "Tl", "Tl", "As", "As"],
  "frac_coords": [[0.437, 0.336, 0.012], [0.937, 0.664, 0.988], [0.930, 0.143, 0.402], [0.430, 0.857, 0.598], [0.827, 0.804, 0.797], [0.979, 0.530, 0.189], [0.850, 0.121, 0.090], [0.350, 0.879, 0.910], [0.479, 0.470, 0.811], [0.327, 0.196, 0.203], [0.012, 0.211, 0.815], [0.501, 0.266, 0.488], [0.512, 0.789, 0.185], [0.001, 0.734, 0.512], [0.011, 0.244, 0.218], [0.511, 0.756, 0.782]]
}

***

(2)
{
  "formula": "CeOF",
  "functional": "PBE-GGA",
  "state": "optimized geometry",
  "space_group": "R-3m",
  "lattice_angstrom": [[-1.991, 4.728, 4.865], [-1.372, 1.302, 6.812], [1.720, 3.621, 5.824]],
  "species": ["Ce", "Ce", "O", "O", "F", "F"],
  "frac_coords": [[0.240, 0.240, 0.240], [0.760, 0.760, 0.760], [0.878, 0.878, 0.878], [0.122, 0.122, 0.122], [0.370, 0.370, 0.370], [0.630, 0.630, 0.630]]
}

***

(3)
{
  "formula": "PdC4S4I2N8",
  "functional": "PBE-GGA",
  "state": "optimized geometry",
  "polymorph_energy_ev_per_atom": 0.000,
  "m_tot_mub_per_fu": 0.000,
  "space_group": "C2/c",
  "lattice_angstrom": [[3.888, 0.759, 9.002], [-3.981, 3.464, 6.800], [-8.383, -8.210, 9.685]],
  "species": ["S", "S", "S", "S", "S", "S", "S", "S", "N", "N", "N", "N", "N", "N", "N", "N", "N", "N", "N", "N", "N", "N", "N", "N", "C", "C", "C", "C", "C", "C", "C", "C", "I", "I", "I", "I", "Pd", "Pd"],
  "frac_coords": [[0.406, 0.230, 0.007], [0.949, 0.089, 0.634], [0.329, 0.589, 0.134], [0.594, 0.770, 0.993], [0.671, 0.411, 0.866], [0.051, 0.911, 0.366], [0.643, 0.270, 0.493], [0.357, 0.730, 0.507], [0.649, 0.255, 0.855], [0.950, 0.767, 0.622], [0.339, 0.733, 0.878], [0.630, 0.966, 0.914], [0.649, 0.059, 0.313], [0.759, 0.245, 0.645], [0.370, 0.034, 0.086], [0.510, 0.534, 0.586], [0.661, 0.267, 0.122], [0.490, 0.466, 0.414], [0.241, 0.755, 0.355], [0.021, 0.441, 0.187], [0.979, 0.559, 0.813], [0.351, 0.941, 0.687], [0.351, 0.745, 0.145], [0.050, 0.233, 0.378], [0.341, 0.848, 0.786], [0.367, 0.642, 0.418], [0.024, 0.348, 0.286], [0.976, 0.652, 0.714], [0.633, 0.358, 0.582], [0.573, 0.142, 0.918], [0.659, 0.152, 0.214], [0.427, 0.858, 0.082], [0.799, 0.734, 0.391], [0.201, 0.266, 0.609], [0.924, 0.766, 0.109], [0.076, 0.234, 0.891], [0.000, 0.000, 0.500], [0.500, 0.500, 0.000]]
}

***

(4)
{
  "formula": "DySi2Rh3",
  "functional": "PBE-GGA",
  "state": "optimized geometry",
  "space_group": "P6/mmm",
  "lattice_angstrom": [[0.000, 0.000, -3.680], [-2.769, -4.796, 0.000], [-2.769, 4.796, 0.000]],
  "species": ["Rh", "Rh", "Rh", "Si", "Si", "Dy"],
  "frac_coords": [[0.500, 0.500, 0.500], [0.500, 0.500, 0.000], [0.500, 0.000, 0.500], [0.000, 0.333, 0.667], [0.000, 0.667, 0.333], [0.000, 0.000, 0.000]]
}

***

One value per record, in order, for energy of formation: -1008 -1182 778 -590 kJ/mol of formula units.